## Te8RuCl2 (GGA-PBE)

Data for crystalline Te8RuCl2 at its relaxed geometry.

a = 8.7006 Å, b = 8.7006 Å, c = 10.7015 Å
α = 77.74°, β = 77.74°, γ = 115.05°
Positions (direct):
Te  0.7849  0.0913  0.1466
Te  0.9087  0.2151  0.3534
Te  0.2151  0.9087  0.8534
Te  0.0913  0.7849  0.6466
Te  0.9812  0.7562  0.2109
Te  0.2438  0.0188  0.2891
Te  0.0188  0.2438  0.7891
Te  0.7562  0.9812  0.7109
Te  0.7486  0.7107  0.4710
Te  0.2893  0.2514  0.0290
Te  0.2514  0.2893  0.5290
Te  0.7107  0.7486  0.9710
Te  0.5096  0.7922  0.3677
Te  0.2078  0.4904  0.1323
Te  0.4904  0.2078  0.6323
Te  0.7922  0.5096  0.8677
Ru  0.0000  0.0000  0.0000
Ru  0.0000  0.0000  0.5000
Cl  0.5920  0.4080  0.2500
Cl  0.4080  0.5920  0.7500
Cl  0.0000  0.5000  0.5000
Cl  0.5000  0.0000  0.0000

Output
The MP2020-corrected energy comes out at -83.21 eV/cell.

---

## CaGa2 (GGA-PBE)

Data for crystalline CaGa2 at its relaxed geometry.

a = 4.2984 Å, b = 4.2984 Å, c = 4.3879 Å
α = 90.00°, β = 90.00°, γ = 120.00°
Positions (direct):
Ca  0.0000  0.0000  0.0000
Ga  0.3333  0.6667  0.5000
Ga  0.6667  0.3333  0.5000

---

| no. | VASP energy (eV/atom) |
| --- | --- |
| 1 | -3.671 |
| 2 | -3.170 |